## Li4Cu3SbO8 (GGA-PBE)

Data for a geometry-optimized Li4Cu3SbO8 structure.

The structure in POSCAR format:
```
Li4Cu3SbO8
1.0
-0.4638 -0.4806 5.9419
0.1324 -5.4164 2.5292
4.7808 -1.6337 3.1980
O Li Cu Sb
8 4 3 1
Cartesian
1.1879 -2.0106 3.1155
3.3254 -2.8671 7.5609
1.1240 -4.6636 4.1082
0.8070 -2.0388 5.9230
3.2614 -5.5201 8.5535
3.5959 -2.6520 4.4638
3.6424 -5.4918 5.7461
0.8535 -4.8787 7.2052
2.3904 -0.8168 1.5990
2.2247 -3.7653 5.8345
0.0662 -2.7082 1.2646
-0.2319 -0.2403 2.9709
-0.1657 -2.9485 4.2355
2.1585 -1.0571 4.5699
2.4566 -3.5250 2.8636
0.0000 0.0000 0.0000
```

Summary:
formation energy from the elements: -26.0 eV per formula unit
total magnetization: 4.0 μB/cell
crystal system: trigonal

## Li3Cu4SbO8 (GGA-PBE)

Data for a geometry-optimized Li3Cu4SbO8 structure.

The structure in POSCAR format:
```
Li3Cu4SbO8
1.0
2.9541 5.4542 0.0000
-2.9541 5.4542 0.0000
0.0000 2.9666 5.0260
Li Sb Cu O
3 1 4 8
Cartesian
-1.4770 2.7271 0.0000
1.4770 2.7271 0.0000
0.0000 1.4833 2.5130
0.0000 5.4542 0.0000
0.0000 0.0000 0.0000
0.0000 6.9376 2.5130
1.4770 4.2104 2.5130
-1.4770 4.2104 2.5130
1.3605 7.4837 3.8460
-1.3605 7.4837 3.8460
0.0000 4.5295 3.8163
0.0000 9.3456 1.2096
0.0000 10.0888 3.8419
-1.3605 6.3915 1.1800
0.0000 3.7863 1.1841
1.3605 6.3915 1.1800
```

Summary:
formation energy from the elements: -24.0 eV per formula unit
total magnetization: 2.1 μB/cell
crystal system: monoclinic

## Li3CuSbO5 (GGA-PBE)

Data for a geometry-optimized Li3CuSbO5 structure.

The structure in POSCAR format:
```
Li3CuSbO5
1.0
-3.9734 -3.2420 -0.8743
4.2779 -2.5562 -2.2378
1.1072 -0.6372 7.7319
Li O Cu Sb
6 10 2 2
Cartesian
0.5115 -2.6338 5.2458
-0.5872 -1.2808 0.2828
0.6562 -3.1775 2.2786
-1.9620 -3.1758 3.8100
0.8850 -3.8363 -0.5646
3.3356 -3.2473 0.7139
0.5422 -5.5757 -1.6994
2.7308 -4.1771 2.7750
-0.2474 -4.2769 4.1059
0.8782 -0.7839 6.2660
2.5950 -3.4554 5.4281
-1.1240 -3.0858 -0.8135
1.5545 -2.1682 0.5446
-1.3593 -2.3258 1.9600
1.4857 -1.6866 3.3604
-0.1012 -4.7939 1.2353
2.1167 -1.3033 -1.1069
2.0254 -5.1554 4.3631
-1.9357 -3.8248 0.8457
3.3455 -2.5809 3.7658
```

Summary:
formation energy from the elements: -19.4 eV per formula unit
total magnetization: 0.0 μB/cell
crystal system: triclinic